# 1
Computed, not measured: a relaxed NaTmO2 crystal at the PBE level of DFT.

Computed properties:
ΔH_f (0 K) in meV per atom: -3215
Offset from the most stable computed form in meV/atom: 2
Energy in eV/atom: -6.795
Space group: C2/c, No. 15
E (MP2020) in eV/atom: -7.14

```
NaTmO2
1.0
3.310 -6.559 0.000
3.310 6.559 0.000
-3.183 0.000 4.945
Na Tm O
4 4 8
direct
0.056 0.944 0.750
0.181 0.819 0.250
0.819 0.181 0.750
0.944 0.056 0.250
0.307 0.693 0.750
0.433 0.567 0.250
0.567 0.433 0.750
0.693 0.307 0.250
0.083 0.459 0.292
0.234 0.361 0.794
0.361 0.234 0.294
0.459 0.083 0.792
0.541 0.917 0.208
0.639 0.766 0.706
0.766 0.639 0.206
0.917 0.541 0.708
```

***

# 2
Computed, not measured: a relaxed NaTmO2 crystal at the PBE level of DFT.

Computed properties:
ΔH_f (0 K) in meV per atom: -3201
Offset from the most stable computed form in meV/atom: 16
Energy in eV/atom: -6.781
Space group: I4_1/amd, No. 141
E (MP2020) in eV/atom: -7.12

```
NaTmO2
1.0
4.560 0.000 0.000
0.000 4.560 0.000
0.000 0.000 10.234
Na Tm O
4 4 8
direct
0.000 0.250 0.375
0.000 0.750 0.625
0.500 0.250 0.125
0.500 0.750 0.875
0.000 0.250 0.875
0.000 0.750 0.125
0.500 0.250 0.625
0.500 0.750 0.375
0.000 0.250 0.095
0.000 0.250 0.655
0.000 0.750 0.345
0.000 0.750 0.905
0.500 0.250 0.405
0.500 0.250 0.845
0.500 0.750 0.155
0.500 0.750 0.595
```

***

# 3
Computed, not measured: a relaxed Na2UO3 crystal at the PBE level of DFT.

Computed properties:
ΔH_f (0 K) in meV per atom: -2526
Energy in eV/atom: -6.980
Space group: P1, No. 1
E (MP2020) in eV/atom: -7.32

```
Na2UO3
1.0
3.682 0.000 0.000
0.101 5.791 0.000
1.476 2.602 5.543
Na U O
2 1 3
direct
0.000 0.000 0.000
0.271 0.248 0.290
0.640 0.640 0.682
0.080 0.704 0.840
0.543 0.273 0.892
0.745 0.974 0.400
```

***

# 4
Computed, not measured: a relaxed Na3UO4 crystal at the PBE level of DFT.

Computed properties:
ΔH_f (0 K) in meV per atom: -2739
Energy in eV/atom: -6.776
Space group: Cmmm, No. 65
E (MP2020) in eV/atom: -7.12

```
Na3UO4
1.0
6.844 0.000 0.000
0.000 9.390 0.000
0.000 0.000 3.499
Na U O
6 2 8
direct
0.000 0.000 0.000
0.250 0.250 0.500
0.250 0.750 0.500
0.500 0.500 0.000
0.750 0.250 0.500
0.750 0.750 0.500
0.000 0.500 0.000
0.500 0.000 0.000
0.000 0.284 0.000
0.000 0.716 0.000
0.213 0.500 0.500
0.287 0.000 0.500
0.500 0.216 0.000
0.500 0.784 0.000
0.713 0.000 0.500
0.787 0.500 0.500
```

***

# 5
Computed, not measured: a relaxed NaUO4 crystal at the PBE level of DFT.

Computed properties:
ΔH_f (0 K) in meV per atom: -2909
Energy in eV/atom: -7.852
Space group: R-3m, No. 166
E (MP2020) in eV/atom: -8.31

```
NaUO4
1.0
1.995 1.152 6.001
-1.995 1.152 6.001
0.000 -2.304 6.001
Na U O
1 1 4
direct
0.000 0.000 0.000
0.500 0.500 0.500
0.163 0.163 0.163
0.395 0.395 0.395
0.605 0.605 0.605
0.837 0.837 0.837
```

***

# 6
Computed, not measured: a relaxed NaUO3 crystal at the PBE level of DFT.

Computed properties:
ΔH_f (0 K) in meV per atom: -3291
Energy in eV/atom: -8.371
Space group: Pnma, No. 62
E (MP2020) in eV/atom: -8.78

```
NaUO3
1.0
5.963 0.000 0.000
0.000 8.347 0.000
0.000 0.000 5.824
Na U O
4 4 12
direct
0.030 0.250 0.007
0.470 0.750 0.507
0.530 0.250 0.493
0.970 0.750 0.993
0.000 0.000 0.500
0.000 0.500 0.500
0.500 0.000 0.000
0.500 0.500 0.000
0.030 0.750 0.406
0.203 0.549 0.799
0.203 0.951 0.799
0.297 0.049 0.299
0.297 0.451 0.299
0.470 0.250 0.906
0.530 0.750 0.094
0.703 0.549 0.701
0.703 0.951 0.701
0.797 0.049 0.201
0.797 0.451 0.201
0.970 0.250 0.594
```

***

# 7
Computed, not measured: a relaxed Na5U5O18 crystal at the PBE level of DFT.

Computed properties:
ΔH_f (0 K) in meV per atom: -3221
Energy in eV/atom: -8.212
Space group: P2_1/c, No. 14
E (MP2020) in eV/atom: -8.65

```
Na5U5O18
1.0
6.875 0.000 0.000
0.000 19.911 0.000
-4.575 0.000 12.226
Na U O
20 20 72
direct
0.228 0.145 0.488
0.228 0.355 0.988
0.236 0.550 0.000
0.236 0.950 0.500
0.255 0.748 0.496
0.255 0.752 0.996
0.258 0.151 0.001
0.258 0.349 0.501
0.258 0.548 0.506
0.258 0.952 0.006
0.742 0.048 0.994
0.742 0.452 0.494
0.742 0.651 0.499
0.742 0.849 0.999
0.745 0.248 0.004
0.745 0.252 0.504
0.764 0.050 0.500
0.764 0.450 0.000
0.772 0.645 0.012
0.772 0.855 0.512
0.224 0.644 0.747
0.224 0.856 0.247
0.229 0.245 0.251
0.229 0.255 0.751
0.251 0.051 0.748
0.251 0.449 0.248
0.257 0.654 0.253
0.257 0.846 0.753
0.285 0.051 0.252
0.285 0.449 0.752
0.715 0.551 0.248
0.715 0.949 0.748
0.743 0.154 0.247
0.743 0.346 0.747
0.749 0.551 0.752
0.749 0.949 0.252
0.771 0.745 0.249
0.771 0.755 0.749
0.776 0.144 0.753
0.776 0.356 0.253
0.059 0.129 0.261
0.059 0.371 0.761
0.063 0.529 0.762
0.063 0.971 0.262
0.111 0.641 0.594
0.111 0.859 0.094
0.121 0.749 0.764
0.121 0.751 0.264
0.125 0.150 0.761
0.125 0.247 0.098
0.125 0.253 0.598
0.125 0.350 0.261
0.156 0.057 0.592
0.156 0.443 0.092
0.166 0.661 0.098
0.166 0.839 0.598
0.174 0.049 0.099
0.174 0.451 0.599
0.322 0.240 0.406
0.322 0.260 0.906
0.327 0.641 0.901
0.327 0.859 0.401
0.347 0.551 0.236
0.347 0.949 0.736
0.349 0.045 0.903
0.349 0.455 0.403
0.353 0.648 0.409
0.353 0.852 0.909
0.394 0.052 0.406
0.394 0.448 0.906
0.415 0.156 0.236
0.415 0.344 0.736
0.423 0.556 0.741
0.423 0.944 0.241
0.487 0.702 0.738
0.487 0.798 0.238
0.513 0.202 0.762
0.513 0.298 0.262
0.577 0.056 0.759
0.577 0.444 0.259
0.585 0.656 0.264
0.585 0.844 0.764
0.606 0.552 0.094
0.606 0.948 0.594
0.647 0.148 0.091
0.647 0.352 0.591
0.651 0.545 0.597
0.651 0.955 0.097
0.653 0.051 0.264
0.653 0.449 0.764
0.673 0.141 0.599
0.673 0.359 0.099
0.678 0.740 0.094
0.678 0.760 0.594
0.826 0.549 0.401
0.826 0.951 0.901
0.834 0.161 0.402
0.834 0.339 0.902
0.844 0.557 0.908
0.844 0.943 0.408
0.875 0.650 0.739
0.875 0.747 0.402
0.875 0.753 0.902
0.875 0.850 0.239
0.879 0.249 0.736
0.879 0.251 0.236
0.889 0.141 0.906
0.889 0.359 0.406
0.937 0.029 0.738
0.937 0.471 0.238
0.941 0.629 0.239
0.941 0.871 0.739
```

***

# 8
Computed, not measured: a relaxed NaU3O8 crystal at the PBE level of DFT.

Computed properties:
ΔH_f (0 K) in meV per atom: -3521
Energy in eV/atom: -9.295
Space group: P-62m, No. 189
E (MP2020) in eV/atom: -9.75

```
NaU3O8
1.0
6.931 0.000 0.000
-3.465 6.002 0.000
0.000 0.000 4.229
Na U O
1 3 8
direct
0.000 0.000 0.000
0.000 0.361 0.500
0.361 0.000 0.500
0.639 0.639 0.500
0.000 0.349 0.000
0.000 0.762 0.500
0.238 0.238 0.500
0.333 0.667 0.500
0.349 0.000 0.000
0.651 0.651 0.000
0.667 0.333 0.500
0.762 0.000 0.500
```

***

# 9
Computed, not measured: a relaxed Na5U5O18 crystal at the PBE level of DFT.

Computed properties:
ΔH_f (0 K) in meV per atom: -3221
Energy in eV/atom: -8.212
Space group: Cc, No. 9
E (MP2020) in eV/atom: -8.65

```
Na5U5O18
1.0
6.217 -9.913 0.000
6.217 9.913 0.000
-1.319 0.000 6.768
Na U O
10 10 36
direct
0.051 0.949 0.500
0.154 0.867 0.983
0.250 0.751 0.504
0.360 0.641 0.007
0.444 0.557 0.507
0.557 0.444 0.007
0.641 0.360 0.507
0.751 0.250 0.004
0.867 0.154 0.483
0.949 0.051 0.000
0.002 0.501 0.757
0.103 0.409 0.227
0.208 0.296 0.764
0.296 0.208 0.264
0.409 0.103 0.727
0.501 0.002 0.257
0.593 0.898 0.787
0.706 0.793 0.250
0.793 0.706 0.750
0.898 0.593 0.287
0.026 0.497 0.445
0.047 0.147 0.706
0.053 0.745 0.339
0.126 0.425 0.875
0.140 0.669 0.815
0.147 0.047 0.206
0.180 0.341 0.469
0.190 0.289 0.087
0.255 0.948 0.681
0.259 0.564 0.281
0.289 0.190 0.587
0.333 0.863 0.196
0.341 0.180 0.969
0.370 0.443 0.824
0.425 0.126 0.375
0.437 0.743 0.732
0.443 0.370 0.324
0.497 0.026 0.945
0.504 0.976 0.568
0.558 0.632 0.191
0.564 0.259 0.781
0.577 0.876 0.140
0.632 0.558 0.691
0.660 0.821 0.545
0.669 0.140 0.315
0.712 0.810 0.927
0.743 0.437 0.232
0.745 0.053 0.839
0.810 0.712 0.427
0.821 0.660 0.045
0.855 0.954 0.305
0.863 0.333 0.696
0.876 0.577 0.640
0.948 0.255 0.181
0.954 0.855 0.805
0.976 0.504 0.068
```

***

# 10
Computed, not measured: a relaxed Na4XeO14 crystal at the PBE level of DFT.

Computed properties:
ΔH_f (0 K) in meV per atom: -326
Offset from the most stable computed form in meV/atom: 0
Energy in eV/atom: -4.252
Space group: Pbcn, No. 60

```
Na4XeO14
1.0
10.901 0.000 0.000
0.000 10.975 0.000
0.000 0.000 11.922
Na Xe O
16 4 56
direct
0.124 0.077 0.050
0.124 0.923 0.550
0.147 0.211 0.726
0.147 0.789 0.226
0.353 0.289 0.226
0.353 0.711 0.726
0.376 0.423 0.550
0.376 0.577 0.050
0.624 0.423 0.950
0.624 0.577 0.450
0.647 0.289 0.274
0.647 0.711 0.774
0.853 0.211 0.774
0.853 0.789 0.274
0.876 0.077 0.450
0.876 0.923 0.950
0.000 0.356 0.250
0.000 0.644 0.750
0.500 0.144 0.750
0.500 0.856 0.250
0.000 0.063 0.250
0.000 0.353 0.750
0.000 0.647 0.250
0.000 0.937 0.750
0.064 0.408 0.888
0.064 0.592 0.388
0.075 0.139 0.537
0.075 0.861 0.037
0.107 0.002 0.752
0.107 0.998 0.252
0.119 0.331 0.949
0.119 0.669 0.449
0.130 0.238 0.484
0.130 0.762 0.984
0.198 0.305 0.556
0.198 0.695 0.056
0.302 0.195 0.056
0.302 0.805 0.556
0.370 0.262 0.984
0.370 0.738 0.484
0.381 0.169 0.449
0.381 0.831 0.949
0.393 0.498 0.252
0.393 0.502 0.752
0.425 0.361 0.037
0.425 0.639 0.537
0.436 0.092 0.388
0.436 0.908 0.888
0.500 0.147 0.250
0.500 0.437 0.750
0.500 0.563 0.250
0.500 0.853 0.750
0.564 0.092 0.112
0.564 0.908 0.612
0.575 0.361 0.463
0.575 0.639 0.963
0.607 0.498 0.248
0.607 0.502 0.748
0.619 0.169 0.051
0.619 0.831 0.551
0.630 0.262 0.516
0.630 0.738 0.016
0.698 0.195 0.444
0.698 0.805 0.944
0.802 0.305 0.944
0.802 0.695 0.444
0.870 0.238 0.016
0.870 0.762 0.516
0.881 0.331 0.551
0.881 0.669 0.051
0.893 0.002 0.748
0.893 0.998 0.248
0.925 0.139 0.963
0.925 0.861 0.463
0.936 0.408 0.612
0.936 0.592 0.112
```